Entry 1:
# AlSiMo6 PBE-GGA relaxed
# E_tot (eV per atom): -9.564
# Crystal system: cubic
# Energy relative to the elements (eV/atom): -0.28
data_AlSiMo6
_chemical_formula_sum 'Al1 Si1 Mo6'
_cell_length_a 4.9513
_cell_length_b 4.9513
_cell_length_c 4.9513
_cell_angle_alpha 90.00
_cell_angle_beta 90.00
_cell_angle_gamma 90.00
_symmetry_space_group_name_H-M 'P m -3'
_symmetry_Int_Tables_number 200
_symmetry_space_group_name_Hall '-P 2 2 3'
loop_
_atom_site_label
_atom_site_fract_x
_atom_site_fract_y
_atom_site_fract_z
Al1 0.0000 0.0000 0.0000
Si1 0.5000 0.5000 0.5000
Mo1 0.0000 0.2516 0.5000

---

Entry 2:
# Al2Si4Mo3 PBE-GGA relaxed
# E_tot (eV per atom): -7.313
# Crystal system: monoclinic
# Energy relative to the elements (eV/atom): -0.45
data_Al2Si4Mo3
_chemical_formula_sum 'Al4 Si8 Mo6'
_cell_length_a 4.7140
_cell_length_b 8.1836
_cell_length_c 6.5819
_cell_angle_alpha 90.00
_cell_angle_beta 90.19
_cell_angle_gamma 90.00
_symmetry_space_group_name_H-M 'C 1 2 1'
_symmetry_Int_Tables_number 5
loop_
_symmetry_equiv_pos_as_xyz
'x,y,z'
'-x,y,-z'
'x+1/2,y+1/2,z'
'-x+1/2,y+1/2,-z'
loop_
_atom_site_label
_atom_site_fract_x
_atom_site_fract_y
_atom_site_fract_z
Al1 0.2424 0.0000 0.3374
Si1 0.0000 0.2422 0.0000
Si2 0.0000 0.9239 0.0000
Si3 0.2446 0.1662 0.6672
Mo1 0.0000 0.5844 0.0000
Mo2 0.2488 0.3308 0.3240

---

Entry 3:
# AlSiMo PBE-GGA relaxed
# E_tot (eV per atom): -7.088
# Crystal system: trigonal
# Energy relative to the elements (eV/atom): -0.42
data_AlSiMo
_chemical_formula_sum 'Al3 Si3 Mo3'
_cell_length_a 4.7647
_cell_length_b 4.7647
_cell_length_c 6.6338
_cell_angle_alpha 90.00
_cell_angle_beta 90.00
_cell_angle_gamma 120.00
_symmetry_space_group_name_H-M 'P 32 1 2'
_symmetry_Int_Tables_number 153
loop_
_symmetry_equiv_pos_as_xyz
'x,y,z'
'-y,x-y,z+2/3'
'-x+y,-x,z+1/3'
'-y,-x,-z+1/3'
'-x+y,y,-z+2/3'
'x,x-y,-z'
loop_
_atom_site_label
_atom_site_fract_x
_atom_site_fract_y
_atom_site_fract_z
Al1 0.1689 0.3378 0.3333
Si1 0.0072 0.5036 0.0000
Mo1 0.3423 0.1711 0.0000

---

> Look up the energy relative to the elements of the first one.

-0.28 eV/atom

---

> Look up the energy relative to the elements of the third one.

-0.42 eV/atom